i) Computed, not measured: a relaxed LiCoPO4 crystal at the PBE with a Hubbard U level of DFT.

Cell: 9.8976 9.8976 23.9103 Å, 90.00 90.00 120.00°
Space group P6_1 (No. 169)
Symmetry-distinct sites (fractional):
Li (0.0231, 0.9761, 0.0000) (multiplicity 6)
Li (0.0341, 0.5878, 0.3384) (multiplicity 6)
Li (0.0396, 0.4776, 0.1543) (multiplicity 6)
Li (0.0519, 0.4595, 0.4981) (multiplicity 6)
Co (0.0857, 0.7649, 0.2245) (multiplicity 6)
Co (0.1012, 0.8200, 0.5746) (multiplicity 6)
Co (0.1247, 0.7546, 0.8982) (multiplicity 6)
Co (0.3106, 0.6677, 0.0613) (multiplicity 6)
P (0.0821, 0.7555, 0.7712) (multiplicity 6)
P (0.0927, 0.7900, 0.0952) (multiplicity 6)
P (0.1322, 0.7718, 0.4444) (multiplicity 6)
P (0.2858, 0.6473, 0.6005) (multiplicity 6)
O (0.0154, 0.6646, 0.8266) (multiplicity 6)
O (0.0155, 0.1551, 0.5680) (multiplicity 6)
O (0.0157, 0.6881, 0.1477) (multiplicity 6)
O (0.0302, 0.3399, 0.2225) (multiplicity 6)
O (0.0346, 0.7626, 0.4960) (multiplicity 6)
O (0.0375, 0.7660, 0.3915) (multiplicity 6)
O (0.0582, 0.3000, 0.4476) (multiplicity 6)
O (0.0760, 0.3715, 0.7772) (multiplicity 6)
O (0.0820, 0.1741, 0.1093) (multiplicity 6)
O (0.1226, 0.6905, 0.0524) (multiplicity 6)
O (0.1379, 0.6613, 0.6098) (multiplicity 6)
O (0.1617, 0.6315, 0.4427) (multiplicity 6)
O (0.1870, 0.6049, 0.9183) (multiplicity 6)
O (0.2102, 0.4620, 0.0952) (multiplicity 6)
O (0.2577, 0.5303, 0.5522) (multiplicity 6)
O (0.2631, 0.6770, 0.3215) (multiplicity 6)

## Properties
Calculated density: 3.16 g cm⁻³

ii) Computed, not measured: a relaxed LiCoPO4 crystal at the PBE with a Hubbard U level of DFT.

Cell: 9.099 6.416 4.925 Å, 90.00 90.00 90.00°
Space group Pnma (No. 62)
Symmetry-distinct sites (fractional):
Li (0.162, 0.250, 0.040) (multiplicity 4)
Co (0.000, 0.000, 0.500) (multiplicity 4)
P (0.179, 0.750, 0.029) (multiplicity 4)
O (0.120, 0.550, 0.165) (multiplicity 8)
O (0.135, 0.750, 0.722) (multiplicity 4)
O (0.149, 0.250, 0.576) (multiplicity 4)

## Properties
Calculated density: 3.72 g cm⁻³

Which is most stable, and by how much? ii), by 35 meV per atom.